First-principles (PBE) data for a relaxed structure of Pr7Ir3, as listed in Materials Project.

a = 10.2481 Å, b = 10.2481 Å, c = 6.4163 Å
α = 90.00°, β = 90.00°, γ = 120.00°
Element x y z (fractional)
Pr 0.0818 0.5409 0.0000
Pr 0.1253 0.2506 0.3121
Pr 0.1253 0.8747 0.3121
Pr 0.2506 0.1253 0.8121
Pr 0.3333 0.6667 0.5262
Pr 0.4591 0.5409 0.0000
Pr 0.4591 0.9182 0.0000
Pr 0.5409 0.0818 0.5000
Pr 0.5409 0.4591 0.5000
Pr 0.6667 0.3333 0.0262
Pr 0.7494 0.8747 0.3121
Pr 0.8747 0.1253 0.8121
Pr 0.8747 0.7494 0.8121
Pr 0.9182 0.4591 0.5000
Ir 0.1889 0.3779 0.7399
Ir 0.1889 0.8111 0.7399
Ir 0.3779 0.1889 0.2399
Ir 0.6221 0.8111 0.7399
Ir 0.8111 0.1889 0.2399
Ir 0.8111 0.6221 0.2399

- DFT total energy: -6.498 eV per atom
- ΔH_f (0 K): -0.50 eV/atom

First-principles (PBE) data for a relaxed structure of Ta2CN3, as listed in Materials Project.

a = 5.4084 Å, b = 5.4084 Å, c = 2.8256 Å
α = 90.00°, β = 90.00°, γ = 120.00°
Element x y z (fractional)
Ta 0.3333 0.6667 0.0000
Ta 0.6667 0.3333 0.0000
C 0.0000 0.0000 0.5000
N 0.0000 0.5000 0.5000
N 0.5000 0.0000 0.5000
N 0.5000 0.5000 0.5000

- DFT total energy: -9.350 eV per atom
- ΔH_f (0 K): 0.13 eV/atom

First-principles (PBE) data for a relaxed structure of SrP, as listed in Materials Project.

a = 8.1004 Å, b = 8.1004 Å, c = 6.0505 Å
α = 90.00°, β = 90.00°, γ = 120.00°
Element x y z (fractional)
Sr 0.0000 0.3057 0.0000
Sr 0.0000 0.6409 0.5000
Sr 0.3057 0.0000 0.0000
Sr 0.3591 0.3591 0.5000
Sr 0.6409 0.0000 0.5000
Sr 0.6943 0.6943 0.0000
P 0.0000 0.0000 0.3131
P 0.0000 0.0000 0.6869
P 0.3333 0.6667 0.1919
P 0.3333 0.6667 0.8081
P 0.6667 0.3333 0.1919
P 0.6667 0.3333 0.8081

- DFT total energy: -4.598 eV per atom
- ΔH_f (0 K): -1.05 eV/atom
- Maximum piezoelectric response: 0.151 C/m²

First-principles (PBE) data for a relaxed structure of Ba3Ti2O6F10, as listed in Materials Project.

a = 12.7321 Å, b = 12.7321 Å, c = 8.4273 Å
α = 90.00°, β = 90.00°, γ = 90.00°
Element x y z (fractional)
Ba 0.0000 0.0000 0.2500
Ba 0.0000 0.0000 0.7500
Ba 0.0070 0.3028 0.0000
Ba 0.1972 0.4930 0.5000
Ba 0.3028 0.9930 0.5000
Ba 0.4930 0.8028 0.0000
Ba 0.5000 0.5000 0.2500
Ba 0.5000 0.5000 0.7500
Ba 0.5070 0.1972 0.0000
Ba 0.6972 0.0070 0.5000
Ba 0.8028 0.5070 0.5000
Ba 0.9930 0.6972 0.0000
Ti 0.0474 0.7609 0.5000
Ti 0.2391 0.0474 0.0000
Ti 0.2609 0.5474 0.0000
Ti 0.4526 0.2609 0.5000
Ti 0.5474 0.7391 0.5000
Ti 0.7391 0.4526 0.0000
Ti 0.7609 0.9526 0.0000
Ti 0.9526 0.2391 0.5000
O 0.0042 0.3753 0.4152
O 0.0042 0.3753 0.5848
O 0.1247 0.4958 0.0848
O 0.1247 0.4958 0.9152
O 0.1507 0.3493 0.2500
O 0.1507 0.3493 0.7500
O 0.3493 0.8493 0.2500
O 0.3493 0.8493 0.7500
O 0.3753 0.9958 0.0848
O 0.3753 0.9958 0.9152
O 0.4958 0.8753 0.4152
O 0.4958 0.8753 0.5848
O 0.5042 0.1247 0.4152
O 0.5042 0.1247 0.5848
O 0.6247 0.0042 0.0848
O 0.6247 0.0042 0.9152
O 0.6507 0.1507 0.2500
O 0.6507 0.1507 0.7500
O 0.8493 0.6507 0.2500
O 0.8493 0.6507 0.7500
O 0.8753 0.5042 0.0848
O 0.8753 0.5042 0.9152
O 0.9958 0.6247 0.4152
O 0.9958 0.6247 0.5848
F 0.0561 0.7917 0.2709
F 0.0561 0.7917 0.7291
F 0.0757 0.1560 0.5000
F 0.0861 0.1123 0.0000
F 0.1123 0.9139 0.5000
F 0.1560 0.9243 0.0000
F 0.1852 0.7102 0.5000
F 0.2083 0.0561 0.2291
F 0.2083 0.0561 0.7709
F 0.2102 0.6852 0.0000
F 0.2898 0.1852 0.0000
F 0.2917 0.5561 0.2291
F 0.2917 0.5561 0.7709
F 0.3148 0.2102 0.5000
F 0.3440 0.4243 0.0000
F 0.3877 0.4139 0.5000
F 0.4139 0.6123 0.0000
F 0.4243 0.6560 0.5000
F 0.4439 0.2917 0.2709
F 0.4439 0.2917 0.7291
F 0.5561 0.7083 0.2709
F 0.5561 0.7083 0.7291
F 0.5757 0.3440 0.5000
F 0.5861 0.3877 0.0000
F 0.6123 0.5861 0.5000
F 0.6560 0.5757 0.0000
F 0.6852 0.7898 0.5000
F 0.7083 0.4439 0.2291
F 0.7083 0.4439 0.7709
F 0.7102 0.8148 0.0000
F 0.7898 0.3148 0.0000
F 0.7917 0.9439 0.2291
F 0.7917 0.9439 0.7709
F 0.8148 0.2898 0.5000
F 0.8440 0.0757 0.0000
F 0.8877 0.0861 0.5000
F 0.9139 0.8877 0.0000
F 0.9243 0.8440 0.5000
F 0.9439 0.2083 0.2709
F 0.9439 0.2083 0.7291

- DFT total energy: -5.982 eV per atom
- ΔH_f (0 K): -2.90 eV/atom

First-principles (PBE) data for a relaxed structure of RbReSO3, as listed in Materials Project.

a = 9.4562 Å, b = 7.9919 Å, c = 8.4076 Å
α = 90.00°, β = 115.90°, γ = 90.00°
Element x y z (fractional)
Rb 0.1952 0.1328 0.4778
Rb 0.1952 0.3672 0.9778
Rb 0.8048 0.6328 0.0222
Rb 0.8048 0.8672 0.5222
Re 0.2263 0.6269 0.4969
Re 0.2263 0.8731 0.9969
Re 0.7737 0.1269 0.0031
Re 0.7737 0.3731 0.5031
S 0.4478 0.7410 0.1043
S 0.4478 0.7590 0.6043
S 0.5522 0.2410 0.3957
S 0.5522 0.2590 0.8957
O 0.0725 0.7261 0.9275
O 0.0725 0.7739 0.4275
O 0.2082 0.5046 0.3158
O 0.2082 0.9954 0.8158
O 0.2164 0.0064 0.1576
O 0.2164 0.4936 0.6576
O 0.7836 0.5064 0.3424
O 0.7836 0.9936 0.8424
O 0.7918 0.0046 0.1842
O 0.7918 0.4954 0.6842
O 0.9275 0.2261 0.5725
O 0.9275 0.2739 0.0725

- DFT total energy: -6.944 eV per atom
- ΔH_f (0 K): -1.97 eV/atom

First-principles (PBE) data for a relaxed structure of MgMn, as listed in Materials Project.

a = 4.6909 Å, b = 3.0019 Å, c = 4.8792 Å
α = 90.00°, β = 90.00°, γ = 90.00°
Element x y z (fractional)
Mg 0.2500 0.0000 0.1985
Mg 0.7500 0.0000 0.8015
Mn 0.2500 0.5000 0.6849
Mn 0.7500 0.5000 0.3151

- DFT total energy: -5.074 eV per atom
- ΔH_f (0 K): 0.31 eV/atom

Q: Among the records above, which one has the lowest ΔH_f (0 K)?
A: Ba3Ti2O6F10